Record 1
A relaxed structure of Cs2ReF6, computed with PBE.

Unit cell a=6.3312 b=6.3312 c=5.1074 alpha=90.00 beta=90.00 gamma=120.00
Closest atoms and distances in Å follow each position.
Fractional coordinates of all 9 atoms:
Cs: 0.3333 0.6667 0.3110  12 F 3.14-3.32
Cs: 0.6667 0.3333 0.6890  12 F 3.14-3.32
Re: 0.0000 0.0000 0.0000  6 F 1.99
F: 0.8471 0.1529 0.2114  1 Re 1.99
F: 0.1529 0.8471 0.7886  1 Re 1.99
F: 0.8471 0.6941 0.2114  1 Re 1.99
F: 0.1529 0.3059 0.7886  1 Re 1.99
F: 0.3059 0.1529 0.2114  1 Re 1.99
F: 0.6941 0.8471 0.7886  1 Re 1.99

Values from the calculation:
* crystal system: trigonal
* MP2020-corrected energy: -50.79 eV/f.u.
* E_form: -2785 meV/atom

Record 2
A relaxed structure of Cs2RhF6, computed with PBE.

Unit cell a=5.1621 b=6.3049 c=6.3049 alpha=120.00 beta=90.00 gamma=90.00
Closest atoms and distances in Å follow each position.
Fractional coordinates of all 9 atoms:
Cs: 0.6948 0.6667 0.3333  12 F 3.20-3.34
Cs: 0.3052 0.3333 0.6667  12 F 3.20-3.34
Rh: 0.0000 0.0000 0.0000  6 F 1.96
F: 0.7894 0.1493 0.2987  1 Rh 1.96
F: 0.2106 0.8507 0.7013  1 Rh 1.96
F: 0.7894 0.1493 0.8507  1 Rh 1.96
F: 0.2106 0.8507 0.1493  1 Rh 1.96
F: 0.7894 0.7013 0.8507  1 Rh 1.96
F: 0.2106 0.2987 0.1493  1 Rh 1.96

Values from the calculation:
* crystal system: trigonal
* MP2020-corrected energy: -43.13 eV/f.u.
* E_form: -2498 meV/atom

Record 3
A relaxed structure of CsRuF6, computed with PBE.

Unit cell a=5.4491 b=5.4491 c=5.4491 alpha=96.97 beta=96.97 gamma=96.97
Closest atoms and distances in Å follow each position.
Fractional coordinates of all 8 atoms:
Cs: 0.5000 0.5000 0.5000  12 F 3.18-3.36
Ru: 0.0000 0.0000 0.0000  6 F 1.90
F: 0.7554 0.7554 0.0822  1 Ru 1.90
F: 0.7554 0.0822 0.7554  1 Ru 1.90
F: 0.2446 0.9178 0.2446  1 Ru 1.90
F: 0.2446 0.2446 0.9178  1 Ru 1.90
F: 0.9178 0.2446 0.2446  1 Ru 1.90
F: 0.0822 0.7554 0.7554  1 Ru 1.90

Values from the calculation:
* crystal system: trigonal
* MP2020-corrected energy: -41.40 eV/f.u.
* E_form: -2468 meV/atom

Record 4
A relaxed structure of CsSb3F16, computed with PBE.

Unit cell a=7.8939 b=16.3330 c=22.4685 alpha=90.00 beta=90.00 gamma=90.00
Closest atoms and distances in Å follow each position.
Fractional coordinates of all 160 atoms:
Cs: 0.9637 0.4108 0.5036  8 F 3.08-3.44
Cs: 0.4468 0.1447 0.7558  10 F 3.10-3.41
Cs: 0.5532 0.6447 0.2442  10 F 3.10-3.41
Cs: 0.0363 0.9108 0.4964  8 F 3.08-3.44
Cs: 0.5532 0.1447 0.2558  10 F 3.10-3.41
Cs: 0.4468 0.6447 0.7442  10 F 3.10-3.41
Cs: 0.9637 0.9108 0.9964  8 F 3.08-3.44
Cs: 0.0363 0.4108 0.0036  8 F 3.08-3.44
Sb: 0.4516 0.8618 0.8692  5 F 1.89-1.91
Sb: 0.5484 0.8618 0.3692  5 F 1.89-1.91
Sb: 0.9532 0.6847 0.6181  5 F 1.89-1.91
Sb: 0.0468 0.6847 0.1181  5 F 1.89-1.91
Sb: 0.0468 0.1847 0.3819  5 F 1.89-1.91
Sb: 0.0337 0.6389 0.3879  5 F 1.89-1.91
Sb: 0.6215 0.1379 0.4788  6 F 1.88-2.03
Sb: 0.5100 0.4208 0.8583  5 F 1.89-1.90
Sb: 0.1351 0.9200 0.2722  6 F 1.88-2.04
Sb: 0.0337 0.1389 0.1121  5 F 1.89-1.91
Sb: 0.6215 0.6379 0.0212  6 F 1.88-2.03
Sb: 0.1351 0.4200 0.2278  6 F 1.88-2.04
Sb: 0.3785 0.6379 0.5212  6 F 1.88-2.03
Sb: 0.4900 0.9208 0.1417  5 F 1.89-1.90
Sb: 0.8649 0.4200 0.7278  6 F 1.88-2.04
Sb: 0.5484 0.3618 0.1308  5 F 1.89-1.91
Sb: 0.9663 0.6389 0.8879  5 F 1.89-1.91
Sb: 0.4900 0.4208 0.3583  5 F 1.89-1.90
Sb: 0.3785 0.1379 0.9788  6 F 1.88-2.03
Sb: 0.9663 0.1389 0.6121  5 F 1.89-1.91
Sb: 0.4516 0.3618 0.6308  5 F 1.89-1.91
Sb: 0.5100 0.9208 0.6417  5 F 1.89-1.90
Sb: 0.8649 0.9200 0.7722  6 F 1.88-2.04
Sb: 0.9532 0.1847 0.8819  5 F 1.89-1.91
F: 0.3186 0.3218 0.6952  1 Sb 1.90
F: 0.7469 0.5202 0.7179  1 Sb 1.90
F: 0.8492 0.6747 0.0540  2 Sb 2.03-2.13
F: 0.2237 0.6960 0.1743  1 Sb 1.89
F: 0.4244 0.6045 0.9814  1 Sb 1.88
F: 0.9520 0.4688 0.2677  1 Sb 1.88
F: 0.8944 0.6318 0.1717  1 Sb 1.91
F: 0.9346 0.5233 0.8848  1 Sb 1.91
F: 0.9579 0.4230 0.6503  1 Sb 1.89
F: 0.8366 0.2368 0.9453  1 Sb 1.90
F: 0.5756 0.1045 0.0186  1 Sb 1.88
F: 0.3506 0.3673 0.1952  2 Sb 2.04-2.13
F: 0.7459 0.1397 0.5574  2 Sb 2.02-2.13
F: 0.1162 0.0804 0.4103  1 Sb 1.90
F: 0.0666 0.3115 0.2417  1 Sb 1.88
F: 0.0816 0.1209 0.5392  1 Sb 1.90
F: 0.3416 0.3950 0.4219  1 Sb 1.89
F: 0.5324 0.2531 0.6213  1 Sb 1.90
F: 0.5636 0.0336 0.6339  1 Sb 1.90
F: 0.4244 0.1045 0.5186  1 Sb 1.88
F: 0.6891 0.9280 0.0947  1 Sb 1.90
F: 0.7187 0.8541 0.4282  1 Sb 1.89
F: 0.6584 0.8950 0.5781  1 Sb 1.89
F: 0.9334 0.3115 0.7417  1 Sb 1.88
F: 0.3797 0.9017 0.4225  1 Sb 1.91
F: 0.5327 0.1377 0.4006  1 Sb 1.89
F: 0.5990 0.9707 0.3459  1 Sb 1.90
F: 0.0480 0.9688 0.7323  1 Sb 1.88
F: 0.7763 0.6960 0.6743  1 Sb 1.89
F: 0.4676 0.2531 0.1213  1 Sb 1.90
F: 0.8139 0.6526 0.8236  1 Sb 1.89
F: 0.6814 0.8218 0.3048  1 Sb 1.90
F: 0.4010 0.9707 0.8459  1 Sb 1.90
F: 0.3506 0.8673 0.3048  2 Sb 2.04-2.13
F: 0.6494 0.8673 0.8048  2 Sb 2.04-2.13
F: 0.9361 0.7859 0.1342  1 Sb 1.90
F: 0.1633 0.6424 0.8396  1 Sb 1.90
F: 0.0372 0.2534 0.0968  1 Sb 1.90
F: 0.4010 0.4707 0.6541  1 Sb 1.90
F: 0.6584 0.3950 0.9219  1 Sb 1.89
F: 0.3109 0.4280 0.9053  1 Sb 1.90
F: 0.2627 0.9098 0.1939  2 Sb 2.03-2.15
F: 0.9184 0.1209 0.0392  1 Sb 1.90
F: 0.5941 0.9490 0.2151  1 Sb 1.90
F: 0.7373 0.9098 0.6939  2 Sb 2.03-2.15
F: 0.0421 0.4230 0.1503  1 Sb 1.89
F: 0.0639 0.2859 0.8658  1 Sb 1.90
F: 0.1861 0.6526 0.3236  1 Sb 1.89
F: 0.5324 0.7531 0.8787  1 Sb 1.90
F: 0.5158 0.3080 0.3394  1 Sb 1.90
F: 0.2541 0.6397 0.4426  2 Sb 2.02-2.13
F: 0.4673 0.1377 0.9006  1 Sb 1.89
F: 0.8944 0.1318 0.3283  1 Sb 1.91
F: 0.1056 0.1318 0.8283  1 Sb 1.91
F: 0.0421 0.9230 0.3497  1 Sb 1.89
F: 0.2813 0.8541 0.9282  1 Sb 1.89
F: 0.9346 0.0233 0.6152  1 Sb 1.91
F: 0.8838 0.0804 0.9103  1 Sb 1.90
F: 0.4059 0.9490 0.7151  1 Sb 1.90
F: 0.0639 0.7859 0.6342  1 Sb 1.90
F: 0.2813 0.3541 0.5718  1 Sb 1.89
F: 0.9579 0.9230 0.8497  1 Sb 1.89
F: 0.4842 0.8080 0.6606  1 Sb 1.90
F: 0.5941 0.4490 0.2849  1 Sb 1.90
F: 0.9628 0.2534 0.5968  1 Sb 1.90
F: 0.1508 0.6747 0.5540  2 Sb 2.03-2.13
F: 0.9334 0.8115 0.7583  1 Sb 1.88
F: 0.7459 0.6397 0.9426  2 Sb 2.02-2.13
F: 0.6891 0.4280 0.4053  1 Sb 1.90
F: 0.7120 0.0307 0.4719  1 Sb 1.90
F: 0.0654 0.5233 0.3848  1 Sb 1.91
F: 0.9184 0.6209 0.4608  1 Sb 1.90
F: 0.4676 0.7531 0.3787  1 Sb 1.90
F: 0.4364 0.0336 0.1339  1 Sb 1.90
F: 0.7187 0.3541 0.0718  1 Sb 1.89
F: 0.0480 0.4688 0.7677  1 Sb 1.88
F: 0.2531 0.5202 0.2179  1 Sb 1.90
F: 0.5756 0.6045 0.4814  1 Sb 1.88
F: 0.1162 0.5804 0.0897  1 Sb 1.90
F: 0.2880 0.5307 0.5281  1 Sb 1.90
F: 0.0654 0.0233 0.1152  1 Sb 1.91
F: 0.7763 0.1960 0.8257  1 Sb 1.89
F: 0.2531 0.0202 0.2821  1 Sb 1.90
F: 0.0372 0.7534 0.4032  1 Sb 1.90
F: 0.8367 0.6424 0.3396  1 Sb 1.90
F: 0.3797 0.4017 0.0775  1 Sb 1.91
F: 0.6203 0.9017 0.9225  1 Sb 1.91
F: 0.4842 0.3080 0.8394  1 Sb 1.90
F: 0.7469 0.0202 0.7821  1 Sb 1.90
F: 0.5636 0.5336 0.8661  1 Sb 1.90
F: 0.3109 0.9280 0.5947  1 Sb 1.90
F: 0.9361 0.2859 0.3658  1 Sb 1.90
F: 0.1056 0.6318 0.6717  1 Sb 1.91
F: 0.2237 0.1960 0.3257  1 Sb 1.89
F: 0.4673 0.6377 0.5994  1 Sb 1.89
F: 0.9628 0.7534 0.9032  1 Sb 1.90
F: 0.6494 0.3673 0.6952  2 Sb 2.04-2.13
F: 0.8139 0.1526 0.6764  1 Sb 1.89
F: 0.2627 0.4098 0.3061  2 Sb 2.03-2.15
F: 0.5158 0.8080 0.1606  1 Sb 1.90
F: 0.5990 0.4707 0.1541  1 Sb 1.90
F: 0.8492 0.1747 0.4460  2 Sb 2.03-2.13
F: 0.0816 0.6209 0.9608  1 Sb 1.90
F: 0.1633 0.1424 0.6604  1 Sb 1.90
F: 0.3416 0.8950 0.0781  1 Sb 1.89
F: 0.7373 0.4098 0.8061  2 Sb 2.03-2.15
F: 0.9520 0.9688 0.2323  1 Sb 1.88
F: 0.1508 0.1747 0.9460  2 Sb 2.03-2.13
F: 0.0666 0.8115 0.2583  1 Sb 1.88
F: 0.1634 0.2368 0.4453  1 Sb 1.90
F: 0.6203 0.4017 0.5775  1 Sb 1.91
F: 0.8366 0.7368 0.5547  1 Sb 1.90
F: 0.3186 0.8218 0.8048  1 Sb 1.90
F: 0.4127 0.7512 0.5097  1 Sb 1.89
F: 0.4059 0.4490 0.7849  1 Sb 1.90
F: 0.2880 0.0307 0.9719  1 Sb 1.90
F: 0.5327 0.6377 0.0994  1 Sb 1.89
F: 0.4127 0.2512 0.9903  1 Sb 1.89
F: 0.5873 0.2512 0.4903  1 Sb 1.89
F: 0.4364 0.5336 0.3661  1 Sb 1.90
F: 0.1634 0.7368 0.0547  1 Sb 1.90
F: 0.8367 0.1424 0.1604  1 Sb 1.90
F: 0.6814 0.3218 0.1952  1 Sb 1.90
F: 0.2541 0.1397 0.0574  2 Sb 2.02-2.13
F: 0.7120 0.5307 0.0281  1 Sb 1.90
F: 0.1861 0.1526 0.1764  1 Sb 1.89
F: 0.8838 0.5804 0.5897  1 Sb 1.90
F: 0.5873 0.7512 0.0097  1 Sb 1.89

Values from the calculation:
* crystal system: orthorhombic
* MP2020-corrected energy: -98.41 eV/f.u.
* magnetic moment: 0.00 μB per cell
* E_form: -2725 meV/atom